{
  "formula": "LaNi3B",
  "functional": "r²SCAN",
  "state": "optimized geometry",
  "lattice": [[-2.455, 3.541, 4.112], [2.455, -3.541, 4.112], [2.455, 3.541, -4.112]],
  "species": ["La", "La", "Ni", "Ni", "Ni", "Ni", "Ni", "Ni", "B", "B"],
  "fractional_positions": [[0.824, 0.574, 0.250], [0.176, 0.426, 0.750], [0.324, 0.500, 0.324], [0.676, 0.500, 0.676], [0.676, 0.000, 0.176], [0.324, 0.000, 0.824], [0.000, 0.000, 0.000], [0.500, 0.000, 0.500], [0.381, 0.131, 0.250], [0.619, 0.869, 0.750]]
}

---

{
  "formula": "LaB3O6",
  "functional": "r²SCAN",
  "state": "optimized geometry",
  "polymorph_energy_mev_per_atom": 0,
  "lattice": [[-5.013, 3.082, 10.159], [-0.160, -4.078, 1.158], [6.592, 0.469, 3.110]],
  "species": ["La", "La", "La", "La", "B", "B", "B", "B", "B", "B", "B", "B", "B", "B", "B", "B", "O", "O", "O", "O", "O", "O", "O", "O", "O", "O", "O", "O", "O", "O", "O", "O", "O", "O", "O", "O", "O", "O", "O", "O"],
  "fractional_positions": [[0.376, 0.781, 0.881], [0.624, 0.219, 0.119], [0.876, 0.219, 0.619], [0.124, 0.781, 0.381], [0.166, 0.324, 0.711], [0.834, 0.676, 0.289], [0.594, 0.195, 0.626], [0.666, 0.676, 0.789], [0.622, 0.689, 0.427], [0.122, 0.311, 0.073], [0.094, 0.805, 0.874], [0.334, 0.324, 0.211], [0.378, 0.311, 0.573], [0.878, 0.689, 0.927], [0.406, 0.805, 0.374], [0.906, 0.195, 0.126], [0.627, 0.846, 0.610], [0.716, 0.779, 0.308], [0.910, 0.750, 0.437], [0.024, 0.207, 0.182], [0.410, 0.250, 0.063], [0.620, 0.349, 0.454], [0.127, 0.154, 0.890], [0.216, 0.221, 0.192], [0.976, 0.793, 0.818], [0.873, 0.846, 0.110], [0.832, 0.332, 0.264], [0.476, 0.207, 0.682], [0.332, 0.668, 0.236], [0.524, 0.793, 0.318], [0.120, 0.651, 0.046], [0.168, 0.668, 0.736], [0.590, 0.750, 0.937], [0.284, 0.221, 0.692], [0.373, 0.154, 0.390], [0.784, 0.779, 0.808], [0.880, 0.349, 0.954], [0.090, 0.250, 0.563], [0.668, 0.332, 0.764], [0.380, 0.651, 0.546]]
}

---

{
  "formula": "LaBO3",
  "functional": "r²SCAN",
  "state": "optimized geometry",
  "lattice": [[3.980, 0.000, -1.274], [0.000, 5.089, 0.000], [0.008, 0.000, 6.314]],
  "species": ["La", "La", "B", "B", "O", "O", "O", "O", "O", "O"],
  "fractional_positions": [[0.621, 0.250, 0.776], [0.379, 0.750, 0.224], [0.997, 0.250, 0.253], [0.003, 0.750, 0.747], [0.841, 0.017, 0.172], [0.159, 0.517, 0.828], [0.673, 0.750, 0.616], [0.327, 0.250, 0.384], [0.159, 0.983, 0.828], [0.841, 0.483, 0.172]]
}

---

{
  "formula": "La2B4O9",
  "functional": "r²SCAN",
  "state": "optimized geometry",
  "lattice": [[6.345, -0.013, 0.000], [-1.451, 6.552, -0.011], [-0.885, -1.796, 7.439]],
  "species": ["La", "La", "La", "La", "B", "B", "B", "B", "B", "B", "B", "B", "O", "O", "O", "O", "O", "O", "O", "O", "O", "O", "O", "O", "O", "O", "O", "O", "O", "O"],
  "fractional_positions": [[0.114, 0.321, 0.643], [0.458, 0.907, 0.719], [0.542, 0.093, 0.281], [0.886, 0.679, 0.357], [0.007, 0.844, 0.818], [0.275, 0.665, 0.020], [0.371, 0.642, 0.342], [0.337, 0.330, 0.075], [0.663, 0.670, 0.925], [0.629, 0.358, 0.658], [0.725, 0.335, 0.980], [0.993, 0.156, 0.182], [0.061, 0.942, 0.684], [0.146, 0.723, 0.869], [0.231, 0.439, 0.965], [0.223, 0.594, 0.469], [0.242, 0.732, 0.205], [0.182, 0.149, 0.114], [0.432, 0.190, 0.566], [0.493, 0.226, 0.986], [0.548, 0.534, 0.751], [0.452, 0.466, 0.249], [0.507, 0.774, 0.014], [0.568, 0.810, 0.434], [0.818, 0.851, 0.886], [0.758, 0.268, 0.795], [0.777, 0.406, 0.531], [0.769, 0.561, 0.035], [0.854, 0.277, 0.131], [0.939, 0.058, 0.316]]
}

---

{
  "formula": "LaB5O9",
  "functional": "r²SCAN",
  "state": "optimized geometry",
  "lattice": [[-7.849, -2.161, -8.422], [4.746, -1.879, -3.941], [0.815, -8.039, 1.303]],
  "species": ["La", "La", "La", "La", "B", "B", "B", "B", "B", "B", "B", "B", "B", "B", "B", "B", "B", "B", "B", "B", "B", "B", "B", "B", "O", "O", "O", "O", "O", "O", "O", "O", "O", "O", "O", "O", "O", "O", "O", "O", "O", "O", "O", "O", "O", "O", "O", "O", "O", "O", "O", "O", "O", "O", "O", "O", "O", "O", "O", "O"],
  "fractional_positions": [[0.674, 0.750, 0.359], [0.174, 0.250, 0.141], [0.326, 0.250, 0.641], [0.826, 0.750, 0.859], [0.249, 0.774, 0.170], [0.749, 0.226, 0.330], [0.751, 0.226, 0.830], [0.251, 0.774, 0.670], [0.629, 0.188, 0.591], [0.129, 0.812, 0.909], [0.402, 0.518, 0.275], [0.902, 0.482, 0.225], [0.598, 0.482, 0.725], [0.098, 0.518, 0.775], [0.945, 0.710, 0.545], [0.445, 0.290, 0.955], [0.055, 0.290, 0.455], [0.555, 0.710, 0.045], [0.465, 0.146, 0.256], [0.965, 0.854, 0.244], [0.535, 0.854, 0.744], [0.035, 0.146, 0.756], [0.371, 0.812, 0.409], [0.871, 0.188, 0.091], [0.475, 0.933, 0.339], [0.167, 0.241, 0.452], [0.333, 0.241, 0.953], [0.833, 0.759, 0.548], [0.987, 0.221, 0.597], [0.487, 0.779, 0.903], [0.013, 0.779, 0.403], [0.667, 0.759, 0.047], [0.199, 0.587, 0.664], [0.699, 0.413, 0.836], [0.975, 0.067, 0.161], [0.301, 0.587, 0.164], [0.340, 0.863, 0.566], [0.840, 0.137, 0.934], [0.660, 0.137, 0.434], [0.160, 0.863, 0.066], [0.221, 0.890, 0.782], [0.721, 0.110, 0.718], [0.779, 0.110, 0.218], [0.279, 0.890, 0.282], [0.525, 0.067, 0.661], [0.025, 0.933, 0.839], [0.401, 0.279, 0.326], [0.901, 0.721, 0.174], [0.599, 0.721, 0.674], [0.801, 0.413, 0.336], [0.510, 0.599, 0.198], [0.010, 0.401, 0.302], [0.490, 0.401, 0.802], [0.990, 0.599, 0.698], [0.387, 0.584, 0.431], [0.887, 0.416, 0.069], [0.613, 0.416, 0.569], [0.113, 0.584, 0.931], [0.513, 0.221, 0.097], [0.099, 0.279, 0.826]]
}

---

{
  "formula": "LaB3O6",
  "functional": "r²SCAN",
  "state": "optimized geometry",
  "polymorph_energy_mev_per_atom": 5,
  "lattice": [[4.090, 4.970, -0.024], [-4.090, 4.970, -0.024], [0.000, 3.929, 5.166]],
  "species": ["La", "La", "B", "B", "B", "B", "B", "B", "O", "O", "O", "O", "O", "O", "O", "O", "O", "O", "O", "O"],
  "fractional_positions": [[0.200, 0.800, 0.750], [0.800, 0.200, 0.250], [0.778, 0.222, 0.750], [0.796, 0.658, 0.418], [0.342, 0.204, 0.082], [0.222, 0.778, 0.250], [0.658, 0.796, 0.918], [0.204, 0.342, 0.582], [0.790, 0.416, 0.510], [0.584, 0.210, 0.990], [0.991, 0.221, 0.785], [0.779, 0.009, 0.715], [0.009, 0.779, 0.215], [0.221, 0.991, 0.285], [0.618, 0.787, 0.502], [0.213, 0.382, 0.998], [0.382, 0.213, 0.498], [0.787, 0.618, 0.002], [0.416, 0.790, 0.010], [0.210, 0.584, 0.490]]
}

---

| no. | formation energy from the elements (eV per atom) |
| --- | --- |
| 1 | -0.43 |
| 2 | -3.00 |
| 3 | -3.35 |
| 4 | -3.12 |
| 5 | -2.88 |
| 6 | -3.00 |